K2NaScF6 after structural relaxation, computed with GGA-PBE. Values from VASP.

Cell and atoms, written as Quantum ESPRESSO input:
```
&SYSTEM
  ibrav = 0, nat = 10, ntyp = 4
/
ATOMIC_SPECIES
K 39.10 K.upf
Na 22.99 Na.upf
Sc 44.96 Sc.upf
F 19.00 F.upf
ATOMIC_POSITIONS angstrom
K 2.1524 2.1524 2.1524
K 6.4573 6.4573 6.4573
Na 0.0000 0.0000 0.0000
Sc 4.3049 4.3049 4.3049
F 4.3049 4.3049 2.2745
F 4.3049 2.2745 4.3049
F 6.3352 4.3049 4.3049
F 2.2745 4.3049 4.3049
F 4.3049 6.3352 4.3049
F 4.3049 4.3049 6.3352
CELL_PARAMETERS angstrom
0.0000 4.3049 4.3049
4.3049 0.0000 4.3049
4.3049 4.3049 0.0000
```

Results
calculated density = 2.71 g cm⁻³
calculated total energy = -5.43 eV per atom
total magnetic moment = 0.00 μB/cell
space group = No. 225